Entry 1:
{
  "formula": "Mg2Cr3MoS8",
  "functional": "PBE-GGA",
  "state": "relaxed",
  "lattice_angstrom": [[1.996, 3.289, 6.216], [-1.520, -3.064, 6.461], [5.352, -2.803, 4.116]],
  "species": ["Mg", "Mg", "Cr", "Cr", "Cr", "Mo", "S", "S", "S", "S", "S", "S", "S", "S"],
  "fractional_positions": [[0.874, 0.874, 0.874], [0.126, 0.126, 0.126], [0.500, 0.500, 0.000], [0.000, 0.500, 0.500], [0.500, 0.000, 0.500], [0.500, 0.500, 0.500], [0.736, 0.736, 0.736], [0.259, 0.259, 0.712], [0.259, 0.712, 0.259], [0.712, 0.259, 0.259], [0.741, 0.288, 0.741], [0.288, 0.741, 0.741], [0.264, 0.264, 0.264], [0.741, 0.741, 0.288]],
  "dft_energy_ev_per_atom": -6.26,
  "spacegroup": "No. 166",
  "m_tot_mub_per_fu": 12.0,
  "delta_e_f_mev_per_atom": -1108,
  "vol_a3_per_atom": 19.5
}

***

Entry 2:
{
  "formula": "K3CoC6N6",
  "functional": "PBE-GGA",
  "state": "relaxed",
  "lattice_angstrom": [[-5.939, -5.595, -1.989], [0.438, -3.901, 9.664], [-18.895, 17.273, 7.827]],
  "species": ["K", "K", "K", "K", "K", "K", "K", "K", "K", "K", "K", "K", "K", "K", "K", "K", "K", "K", "K", "K", "K", "K", "K", "K", "Co", "Co", "Co", "Co", "Co", "Co", "Co", "Co", "C", "C", "C", "C", "C", "C", "C", "C", "C", "C", "C", "C", "C", "C", "C", "C", "C", "C", "C", "C", "C", "C", "C", "C", "C", "C", "C", "C", "C", "C", "C", "C", "C", "C", "C", "C", "C", "C", "C", "C", "C", "C", "C", "C", "C", "C", "C", "C", "N", "N", "N", "N", "N", "N", "N", "N", "N", "N", "N", "N", "N", "N", "N", "N", "N", "N", "N", "N", "N", "N", "N", "N", "N", "N", "N", "N", "N", "N", "N", "N", "N", "N", "N", "N", "N", "N", "N", "N", "N", "N", "N", "N", "N", "N", "N", "N"],
  "fractional_positions": [[0.254, 0.759, 0.375], [0.254, 0.241, 0.125], [0.248, 0.000, 0.750], [0.246, 0.259, 0.625], [0.746, 0.759, 0.875], [0.004, 0.723, 0.628], [0.748, 0.500, 0.750], [0.996, 0.277, 0.372], [0.000, 0.500, 0.000], [0.500, 0.000, 0.500], [0.496, 0.777, 0.128], [0.252, 0.500, 0.250], [0.246, 0.741, 0.875], [0.754, 0.741, 0.375], [0.000, 0.500, 0.500], [0.004, 0.277, 0.872], [0.500, 0.000, 0.000], [0.504, 0.777, 0.628], [0.746, 0.241, 0.625], [0.496, 0.223, 0.372], [0.996, 0.723, 0.128], [0.504, 0.223, 0.872], [0.752, 0.000, 0.250], [0.754, 0.259, 0.125], [0.751, 0.000, 0.750], [0.000, 0.000, 0.500], [0.749, 0.500, 0.250], [0.000, 0.000, 0.000], [0.251, 0.500, 0.750], [0.500, 0.500, 0.000], [0.500, 0.500, 0.500], [0.249, 0.000, 0.250], [0.409, 0.452, 0.704], [0.343, 0.450, 0.453], [0.345, 0.449, 0.953], [0.155, 0.949, 0.047], [0.343, 0.550, 0.047], [0.657, 0.550, 0.547], [0.843, 0.950, 0.047], [0.591, 0.452, 0.204], [0.999, 0.164, 0.528], [0.001, 0.164, 0.028], [0.501, 0.336, 0.028], [0.591, 0.548, 0.296], [0.749, 0.335, 0.277], [0.409, 0.951, 0.296], [0.751, 0.165, 0.777], [0.591, 0.049, 0.704], [0.091, 0.549, 0.796], [0.091, 0.952, 0.296], [0.157, 0.950, 0.547], [0.499, 0.336, 0.528], [0.909, 0.952, 0.796], [0.249, 0.165, 0.277], [0.155, 0.051, 0.453], [0.091, 0.048, 0.204], [0.001, 0.836, 0.472], [0.751, 0.835, 0.723], [0.909, 0.549, 0.296], [0.091, 0.451, 0.704], [0.909, 0.451, 0.204], [0.999, 0.836, 0.972], [0.251, 0.335, 0.777], [0.845, 0.051, 0.953], [0.409, 0.548, 0.796], [0.345, 0.551, 0.547], [0.409, 0.049, 0.204], [0.655, 0.551, 0.047], [0.655, 0.449, 0.453], [0.499, 0.664, 0.972], [0.157, 0.050, 0.953], [0.501, 0.664, 0.472], [0.909, 0.048, 0.704], [0.845, 0.949, 0.547], [0.249, 0.835, 0.223], [0.749, 0.665, 0.223], [0.251, 0.665, 0.723], [0.843, 0.050, 0.453], [0.657, 0.450, 0.953], [0.591, 0.951, 0.796], [0.750, 0.583, 0.076], [0.004, 0.081, 0.674], [0.496, 0.082, 0.675], [0.504, 0.581, 0.826], [0.250, 0.767, 0.704], [0.247, 0.417, 0.424], [0.247, 0.583, 0.076], [0.250, 0.267, 0.296], [0.753, 0.583, 0.576], [0.996, 0.418, 0.675], [0.750, 0.417, 0.424], [0.250, 0.583, 0.576], [0.996, 0.582, 0.825], [0.750, 0.083, 0.924], [0.253, 0.917, 0.576], [0.001, 0.735, 0.452], [0.001, 0.265, 0.048], [0.004, 0.582, 0.325], [0.250, 0.917, 0.076], [0.253, 0.083, 0.924], [0.504, 0.918, 0.325], [0.996, 0.081, 0.174], [0.750, 0.733, 0.704], [0.999, 0.265, 0.548], [0.499, 0.765, 0.952], [0.996, 0.919, 0.326], [0.750, 0.767, 0.204], [0.250, 0.417, 0.924], [0.999, 0.735, 0.952], [0.750, 0.267, 0.796], [0.750, 0.917, 0.576], [0.504, 0.082, 0.175], [0.747, 0.917, 0.076], [0.250, 0.733, 0.204], [0.753, 0.417, 0.924], [0.250, 0.083, 0.424], [0.501, 0.765, 0.452], [0.496, 0.419, 0.174], [0.004, 0.418, 0.175], [0.747, 0.083, 0.424], [0.250, 0.233, 0.796], [0.750, 0.233, 0.296], [0.501, 0.235, 0.048], [0.496, 0.918, 0.825], [0.499, 0.235, 0.548], [0.496, 0.581, 0.326], [0.004, 0.919, 0.826], [0.504, 0.419, 0.674]],
  "dft_energy_ev_per_atom": -7.40,
  "spacegroup": "No. 60",
  "m_tot_mub_per_fu": 0.0,
  "polymorph_energy_ev_per_atom": 0.006,
  "delta_e_f_mev_per_atom": -291,
  "vol_a3_per_atom": 18.3
}

***

Entry 3:
{
  "formula": "HoMgTl2",
  "functional": "PBE-GGA",
  "state": "relaxed",
  "lattice_angstrom": [[0.000, 3.722, 3.722], [3.722, 0.000, 3.722], [3.722, 3.722, 0.000]],
  "species": ["Ho", "Mg", "Tl", "Tl"],
  "fractional_positions": [[0.500, 0.500, 0.500], [0.000, 0.000, 0.000], [0.750, 0.750, 0.750], [0.250, 0.250, 0.250]],
  "dft_energy_ev_per_atom": -2.92,
  "spacegroup": "No. 225",
  "m_tot_mub_per_fu": 0.0,
  "delta_e_f_mev_per_atom": -196,
  "vol_a3_per_atom": 25.8
}

***

Entry 4:
{
  "formula": "KIn4",
  "functional": "PBE-GGA",
  "state": "relaxed",
  "lattice_angstrom": [[4.962, 0.000, 0.000], [0.000, 4.962, 0.000], [-2.481, -2.481, 6.438]],
  "species": ["K", "In", "In", "In", "In"],
  "fractional_positions": [[0.000, 0.000, 0.000], [0.750, 0.250, 0.500], [0.250, 0.750, 0.500], [0.387, 0.387, 0.774], [0.613, 0.613, 0.226]],
  "dft_energy_ev_per_atom": -2.54,
  "spacegroup": "No. 139",
  "delta_e_f_mev_per_atom": -118,
  "vol_a3_per_atom": 31.7
}

***

Entry 5:
{
  "formula": "Li2AgF4",
  "functional": "PBE-GGA",
  "state": "relaxed",
  "lattice_angstrom": [[5.330, 0.000, 0.000], [0.000, 9.981, 0.000], [0.000, 0.000, 18.915]],
  "species": ["Li", "Li", "Li", "Li", "Li", "Li", "Li", "Li", "Li", "Li", "Li", "Li", "Li", "Li", "Li", "Li", "Li", "Li", "Li", "Li", "Li", "Li", "Li", "Li", "Ag", "Ag", "Ag", "Ag", "Ag", "Ag", "Ag", "Ag", "Ag", "Ag", "Ag", "Ag", "F", "F", "F", "F", "F", "F", "F", "F", "F", "F", "F", "F", "F", "F", "F", "F", "F", "F", "F", "F", "F", "F", "F", "F", "F", "F", "F", "F", "F", "F", "F", "F", "F", "F", "F", "F", "F", "F", "F", "F", "F", "F", "F", "F", "F", "F", "F", "F"],
  "fractional_positions": [[0.203, 0.423, 0.892], [0.203, 0.077, 0.392], [0.233, 0.726, 0.507], [0.233, 0.774, 0.007], [0.232, 0.441, 0.552], [0.232, 0.059, 0.052], [0.264, 0.753, 0.833], [0.264, 0.747, 0.333], [0.296, 0.771, 0.689], [0.296, 0.729, 0.189], [0.299, 0.099, 0.709], [0.299, 0.401, 0.209], [0.703, 0.923, 0.608], [0.703, 0.577, 0.108], [0.733, 0.226, 0.993], [0.733, 0.274, 0.493], [0.732, 0.941, 0.948], [0.732, 0.559, 0.448], [0.764, 0.253, 0.667], [0.764, 0.247, 0.167], [0.796, 0.271, 0.811], [0.796, 0.229, 0.311], [0.799, 0.599, 0.791], [0.799, 0.901, 0.291], [0.192, 0.106, 0.556], [0.192, 0.394, 0.056], [0.285, 0.112, 0.890], [0.285, 0.388, 0.390], [0.326, 0.443, 0.737], [0.326, 0.057, 0.237], [0.692, 0.606, 0.944], [0.692, 0.894, 0.444], [0.785, 0.612, 0.610], [0.785, 0.888, 0.110], [0.826, 0.557, 0.263], [0.826, 0.943, 0.763], [0.003, 0.732, 0.744], [0.003, 0.768, 0.244], [0.008, 0.435, 0.801], [0.008, 0.065, 0.301], [0.025, 0.644, 0.887], [0.025, 0.856, 0.387], [0.027, 0.965, 0.653], [0.027, 0.535, 0.153], [0.069, 0.947, 0.984], [0.069, 0.553, 0.484], [0.132, 0.524, 0.641], [0.132, 0.976, 0.141], [0.149, 0.950, 0.827], [0.149, 0.550, 0.327], [0.384, 0.941, 0.509], [0.384, 0.559, 0.009], [0.404, 0.283, 0.950], [0.404, 0.217, 0.450], [0.444, 0.725, 0.597], [0.444, 0.775, 0.097], [0.489, 0.683, 0.764], [0.489, 0.817, 0.264], [0.494, 0.789, 0.925], [0.494, 0.711, 0.425], [0.503, 0.232, 0.756], [0.503, 0.268, 0.256], [0.508, 0.565, 0.199], [0.508, 0.935, 0.699], [0.525, 0.144, 0.613], [0.525, 0.356, 0.113], [0.527, 0.465, 0.847], [0.527, 0.035, 0.347], [0.569, 0.447, 0.516], [0.569, 0.053, 0.016], [0.632, 0.024, 0.859], [0.632, 0.476, 0.359], [0.649, 0.050, 0.173], [0.649, 0.450, 0.673], [0.884, 0.441, 0.991], [0.884, 0.059, 0.491], [0.904, 0.717, 0.050], [0.904, 0.783, 0.550], [0.944, 0.225, 0.903], [0.944, 0.275, 0.403], [0.989, 0.183, 0.736], [0.989, 0.317, 0.236], [0.994, 0.211, 0.075], [0.994, 0.289, 0.575]],
  "dft_energy_ev_per_atom": -4.12,
  "spacegroup": "No. 33",
  "m_tot_mub_per_fu": 0.0,
  "polymorph_energy_ev_per_atom": 0.054,
  "delta_e_f_mev_per_atom": -2336,
  "vol_a3_per_atom": 12.0
}

***

Entry 6:
{
  "formula": "AlPd3",
  "functional": "PBE-GGA",
  "state": "relaxed",
  "lattice_angstrom": [[3.909, 0.000, 0.000], [0.000, 3.909, 0.000], [0.000, 0.000, 3.909]],
  "species": ["Al", "Pd", "Pd", "Pd"],
  "fractional_positions": [[0.000, 0.000, 0.000], [0.000, 0.500, 0.500], [0.500, 0.000, 0.500], [0.500, 0.500, 0.000]],
  "dft_energy_ev_per_atom": -5.43,
  "spacegroup": "No. 221",
  "delta_e_f_mev_per_atom": -610,
  "vol_a3_per_atom": 14.9
}

***

Entry 7:
{
  "formula": "GaNi3",
  "functional": "PBE-GGA",
  "state": "relaxed",
  "lattice_angstrom": [[-1.840, 1.840, 3.358], [1.840, -1.840, 3.358], [1.840, 1.840, -3.358]],
  "species": ["Ga", "Ni", "Ni", "Ni"],
  "fractional_positions": [[0.000, 0.000, 0.000], [0.750, 0.250, 0.500], [0.250, 0.750, 0.500], [0.500, 0.500, 0.000]],
  "dft_energy_ev_per_atom": -5.37,
  "spacegroup": "No. 139",
  "delta_e_f_mev_per_atom": -278,
  "vol_a3_per_atom": 11.4
}

***

Entry 8:
{
  "formula": "PrAl8Cr4",
  "functional": "PBE-GGA",
  "state": "relaxed",
  "lattice_angstrom": [[0.000, 0.000, 5.064], [-4.509, 4.509, 2.532], [-4.509, -4.509, 2.532]],
  "species": ["Pr", "Al", "Al", "Al", "Al", "Al", "Al", "Al", "Al", "Cr", "Cr", "Cr", "Cr"],
  "fractional_positions": [[0.000, 0.000, 0.000], [0.000, 0.341, 0.659], [0.000, 0.659, 0.341], [0.659, 0.341, 0.341], [0.341, 0.659, 0.659], [0.500, 0.773, 0.227], [0.500, 0.227, 0.773], [0.727, 0.773, 0.773], [0.273, 0.227, 0.227], [0.000, 0.000, 0.500], [0.500, 0.000, 0.500], [0.500, 0.500, 0.000], [0.000, 0.500, 0.000]],
  "dft_energy_ev_per_atom": -5.83,
  "spacegroup": "No. 139",
  "m_tot_mub_per_fu": 2.8,
  "delta_e_f_mev_per_atom": -186,
  "vol_a3_per_atom": 15.8
}

***

Entry 9:
{
  "formula": "Tb12Os5C15",
  "functional": "PBE-GGA",
  "state": "relaxed",
  "lattice_angstrom": [[5.375, -9.310, 0.000], [5.375, 9.310, 0.000], [0.000, 0.000, 5.116]],
  "species": ["Tb", "Tb", "Tb", "Tb", "Tb", "Tb", "Tb", "Tb", "Tb", "Tb", "Tb", "Tb", "Os", "Os", "Os", "Os", "Os", "C", "C", "C", "C", "C", "C", "C", "C", "C", "C", "C", "C", "C", "C", "C"],
  "fractional_positions": [[0.272, 0.456, 0.000], [0.183, 0.728, 0.000], [0.544, 0.817, 0.000], [0.817, 0.544, 0.000], [0.728, 0.183, 0.000], [0.456, 0.272, 0.000], [0.434, 0.000, 0.500], [0.566, 0.566, 0.500], [0.000, 0.434, 0.500], [0.794, 0.000, 0.500], [0.206, 0.206, 0.500], [0.000, 0.794, 0.500], [0.161, 0.000, 0.000], [0.839, 0.839, 0.000], [0.000, 0.161, 0.000], [0.333, 0.667, 0.500], [0.667, 0.333, 0.500], [0.283, 0.468, 0.500], [0.186, 0.717, 0.500], [0.532, 0.814, 0.500], [0.814, 0.532, 0.500], [0.717, 0.186, 0.500], [0.468, 0.283, 0.500], [0.336, 0.000, 0.000], [0.664, 0.664, 0.000], [0.000, 0.336, 0.000], [0.460, 0.000, 0.000], [0.540, 0.540, 0.000], [0.000, 0.460, 0.000], [0.793, 0.000, 0.000], [0.207, 0.207, 0.000], [0.000, 0.793, 0.000]],
  "dft_energy_ev_per_atom": -8.16,
  "spacegroup": "No. 189",
  "delta_e_f_mev_per_atom": -340,
  "vol_a3_per_atom": 16.0
}